Record 1
DFT (GGA+U) results for a relaxed structure of LaMgFeWO6.

Unit cell a=5.457 b=5.579 c=9.738 alpha=90.00 beta=123.64 gamma=90.00
Atoms (fractional coordinates):
La 0.000 0.200 0.000
La 0.000 0.800 0.500
Mg 0.536 0.303 0.509
Mg 0.536 0.697 0.009
Fe 0.754 0.246 0.250
Fe 0.754 0.754 0.750
W 0.260 0.260 0.753
W 0.260 0.740 0.253
O 0.174 0.209 0.520
O 0.174 0.791 0.020
O 0.398 0.326 0.992
O 0.398 0.674 0.492
O 0.489 0.040 0.324
O 0.489 0.960 0.824
O 0.605 0.470 0.816
O 0.605 0.530 0.316
O 0.881 0.064 0.688
O 0.881 0.936 0.188
O 0.991 0.474 0.186
O 0.991 0.526 0.686

Calculated values
The value obtained for the total magnetic moment is 0.00 μB per atom. For the formation energy, the calculation gives -2.63 eV/atom. The final energy comes out at -7.31 eV/atom.

=====

Record 2
DFT (GGA+U) results for a relaxed structure of La7SmMn5Fe3O20.

Unit cell a=11.175 b=11.867 c=17.836 alpha=109.40 beta=108.19 gamma=90.03
Atoms (fractional coordinates):
La 0.000 0.000 0.000
La 0.000 0.001 0.500
La 0.004 0.501 0.501
La 0.107 0.132 0.721
La 0.110 0.631 0.219
La 0.114 0.130 0.220
La 0.117 0.631 0.721
La 0.247 0.271 0.999
La 0.252 0.772 0.499
La 0.253 0.272 0.500
La 0.255 0.773 0.001
La 0.362 0.361 0.721
La 0.363 0.862 0.722
La 0.364 0.362 0.220
La 0.368 0.859 0.220
La 0.499 0.500 0.500
La 0.503 0.498 0.001
La 0.508 0.002 0.502
La 0.612 0.631 0.720
La 0.613 0.133 0.221
La 0.615 0.133 0.723
La 0.747 0.772 0.000
La 0.753 0.275 0.502
La 0.753 0.770 0.499
La 0.857 0.859 0.221
La 0.861 0.361 0.723
La 0.864 0.361 0.220
La 0.865 0.857 0.721
Sm 0.502 0.001 0.003
Sm 0.608 0.631 0.218
Sm 0.752 0.273 0.002
Sm 0.998 0.499 0.002
Mn 0.064 0.814 0.109
Mn 0.064 0.816 0.610
Mn 0.167 0.468 0.862
Mn 0.169 0.469 0.360
Mn 0.170 0.967 0.360
Mn 0.172 0.970 0.862
Mn 0.315 0.067 0.611
Mn 0.420 0.164 0.360
Mn 0.421 0.664 0.862
Mn 0.422 0.164 0.863
Mn 0.422 0.664 0.360
Mn 0.566 0.816 0.611
Mn 0.668 0.970 0.863
Mn 0.670 0.469 0.360
Mn 0.670 0.969 0.360
Mn 0.671 0.468 0.863
Mn 0.916 0.663 0.359
Mn 0.918 0.164 0.863
Mn 0.919 0.164 0.360
Mn 0.920 0.662 0.862
Fe 0.064 0.317 0.611
Fe 0.065 0.315 0.109
Fe 0.315 0.565 0.110
Fe 0.316 0.566 0.611
Fe 0.317 0.067 0.110
Fe 0.565 0.316 0.611
Fe 0.565 0.816 0.110
Fe 0.566 0.315 0.109
Fe 0.813 0.564 0.109
Fe 0.815 0.066 0.109
Fe 0.815 0.066 0.611
Fe 0.815 0.564 0.610
O 0.017 0.294 0.471
O 0.017 0.793 0.469
O 0.020 0.296 0.971
O 0.023 0.796 0.970
O 0.155 0.339 0.249
O 0.155 0.339 0.751
O 0.159 0.838 0.751
O 0.163 0.836 0.250
O 0.171 0.669 0.083
O 0.174 0.180 0.588
O 0.177 0.176 0.089
O 0.178 0.677 0.588
O 0.196 0.455 0.131
O 0.196 0.959 0.634
O 0.199 0.457 0.633
O 0.201 0.956 0.133
O 0.229 0.137 0.360
O 0.229 0.139 0.860
O 0.230 0.637 0.861
O 0.230 0.638 0.360
O 0.267 0.449 0.470
O 0.270 0.949 0.471
O 0.274 0.447 0.971
O 0.278 0.950 0.971
O 0.406 0.684 0.750
O 0.409 0.185 0.249
O 0.412 0.185 0.752
O 0.416 0.682 0.250
O 0.425 0.683 0.588
O 0.427 0.685 0.091
O 0.428 0.182 0.086
O 0.428 0.185 0.588
O 0.447 0.449 0.633
O 0.449 0.949 0.635
O 0.449 0.950 0.131
O 0.451 0.452 0.136
O 0.479 0.494 0.360
O 0.479 0.993 0.866
O 0.480 0.994 0.360
O 0.481 0.495 0.862
O 0.517 0.294 0.471
O 0.517 0.796 0.972
O 0.522 0.794 0.471
O 0.529 0.295 0.971
O 0.655 0.837 0.249
O 0.658 0.337 0.249
O 0.659 0.339 0.751
O 0.661 0.839 0.752
O 0.673 0.172 0.082
O 0.675 0.676 0.092
O 0.677 0.177 0.589
O 0.677 0.672 0.588
O 0.695 0.956 0.130
O 0.697 0.454 0.634
O 0.698 0.456 0.136
O 0.700 0.958 0.634
O 0.723 0.638 0.355
O 0.728 0.638 0.861
O 0.729 0.139 0.361
O 0.729 0.142 0.867
O 0.767 0.948 0.471
O 0.769 0.451 0.471
O 0.770 0.946 0.971
O 0.773 0.446 0.972
O 0.904 0.183 0.752
O 0.906 0.183 0.249
O 0.909 0.678 0.750
O 0.909 0.683 0.249
O 0.922 0.679 0.084
O 0.923 0.185 0.085
O 0.925 0.181 0.589
O 0.926 0.682 0.588
O 0.944 0.447 0.129
O 0.944 0.947 0.632
O 0.946 0.949 0.133
O 0.948 0.448 0.633
O 0.978 0.493 0.867
O 0.978 0.993 0.360
O 0.979 0.495 0.360
O 0.980 0.994 0.860

Calculated values
The value obtained for the total magnetic moment is 1.03 μB per atom. For the formation energy, the calculation gives -2.85 eV/atom. The final energy comes out at -7.87 eV/atom.

=====

Record 3
DFT (GGA+U) results for a relaxed structure of La7SmMn7FeO20.

Unit cell a=11.408 b=11.854 c=17.775 alpha=109.46 beta=108.69 gamma=90.01
Atoms (fractional coordinates):
La 0.000 0.000 0.000
La 0.000 0.002 0.503
La 0.001 0.501 0.000
La 0.112 0.130 0.224
La 0.113 0.630 0.225
La 0.116 0.631 0.722
La 0.248 0.769 0.503
La 0.249 0.267 0.999
La 0.249 0.270 0.502
La 0.250 0.768 0.000
La 0.361 0.360 0.724
La 0.362 0.862 0.224
La 0.363 0.363 0.225
La 0.498 0.502 0.504
La 0.500 0.000 0.999
La 0.501 0.499 0.000
La 0.502 0.000 0.501
La 0.610 0.128 0.723
La 0.613 0.130 0.224
La 0.613 0.630 0.224
La 0.750 0.767 0.999
La 0.751 0.268 0.000
La 0.752 0.769 0.502
La 0.754 0.271 0.501
La 0.863 0.360 0.723
La 0.863 0.364 0.226
La 0.863 0.862 0.224
La 0.864 0.862 0.723
Sm 0.004 0.500 0.504
Sm 0.111 0.132 0.722
Sm 0.360 0.859 0.723
Sm 0.606 0.632 0.722
Mn 0.065 0.316 0.113
Mn 0.065 0.815 0.112
Mn 0.066 0.315 0.613
Mn 0.170 0.467 0.364
Mn 0.171 0.465 0.861
Mn 0.172 0.966 0.860
Mn 0.172 0.967 0.364
Mn 0.315 0.065 0.112
Mn 0.315 0.565 0.112
Mn 0.418 0.161 0.860
Mn 0.422 0.166 0.364
Mn 0.422 0.664 0.364
Mn 0.423 0.664 0.861
Mn 0.565 0.315 0.112
Mn 0.565 0.815 0.112
Mn 0.565 0.815 0.614
Mn 0.566 0.316 0.614
Mn 0.668 0.963 0.860
Mn 0.671 0.466 0.860
Mn 0.672 0.967 0.363
Mn 0.674 0.467 0.364
Mn 0.815 0.065 0.112
Mn 0.815 0.565 0.112
Mn 0.817 0.567 0.614
Mn 0.918 0.664 0.859
Mn 0.922 0.164 0.861
Mn 0.922 0.166 0.363
Mn 0.922 0.664 0.365
Fe 0.068 0.817 0.613
Fe 0.317 0.064 0.614
Fe 0.317 0.567 0.614
Fe 0.818 0.065 0.613
O 0.024 0.794 0.970
O 0.026 0.798 0.473
O 0.027 0.296 0.971
O 0.028 0.297 0.472
O 0.167 0.336 0.254
O 0.168 0.333 0.753
O 0.168 0.836 0.254
O 0.173 0.670 0.587
O 0.174 0.173 0.087
O 0.174 0.673 0.086
O 0.175 0.171 0.590
O 0.176 0.835 0.753
O 0.199 0.957 0.137
O 0.200 0.456 0.634
O 0.200 0.458 0.138
O 0.202 0.958 0.642
O 0.230 0.135 0.857
O 0.236 0.634 0.363
O 0.237 0.135 0.363
O 0.238 0.633 0.862
O 0.276 0.444 0.971
O 0.276 0.445 0.473
O 0.276 0.945 0.473
O 0.277 0.944 0.969
O 0.418 0.187 0.254
O 0.418 0.187 0.753
O 0.418 0.687 0.254
O 0.421 0.688 0.753
O 0.423 0.182 0.085
O 0.423 0.682 0.086
O 0.424 0.181 0.589
O 0.424 0.684 0.592
O 0.446 0.945 0.641
O 0.449 0.451 0.639
O 0.449 0.948 0.137
O 0.450 0.449 0.138
O 0.480 0.990 0.856
O 0.486 0.997 0.363
O 0.487 0.496 0.364
O 0.487 0.496 0.862
O 0.525 0.293 0.969
O 0.526 0.796 0.473
O 0.528 0.796 0.971
O 0.530 0.297 0.473
O 0.668 0.835 0.254
O 0.669 0.336 0.254
O 0.670 0.332 0.753
O 0.672 0.830 0.753
O 0.673 0.172 0.086
O 0.673 0.671 0.586
O 0.674 0.672 0.086
O 0.678 0.172 0.588
O 0.699 0.457 0.137
O 0.699 0.465 0.643
O 0.700 0.958 0.139
O 0.701 0.957 0.638
O 0.729 0.635 0.856
O 0.736 0.132 0.862
O 0.736 0.635 0.362
O 0.737 0.135 0.363
O 0.774 0.943 0.970
O 0.775 0.945 0.472
O 0.777 0.445 0.970
O 0.788 0.445 0.472
O 0.918 0.188 0.253
O 0.919 0.685 0.255
O 0.923 0.182 0.085
O 0.923 0.184 0.588
O 0.924 0.683 0.087
O 0.927 0.186 0.754
O 0.927 0.689 0.753
O 0.929 0.685 0.587
O 0.949 0.448 0.138
O 0.950 0.449 0.636
O 0.950 0.949 0.138
O 0.953 0.955 0.638
O 0.985 0.497 0.862
O 0.986 0.497 0.369
O 0.986 0.997 0.363
O 0.988 0.996 0.862

Calculated values
The value obtained for the total magnetic moment is 1.08 μB per atom. For the formation energy, the calculation gives -2.90 eV/atom. The final energy comes out at -7.99 eV/atom.

=====

Record 4
DFT (GGA+U) results for a relaxed structure of La7SmMn6Fe2O24.

Unit cell a=7.904 b=7.877 c=7.877 alpha=90.01 beta=90.00 gamma=90.00
Atoms (fractional coordinates):
La 0.000 0.000 0.000
La 0.000 0.000 0.497
La 0.000 0.497 0.000
La 0.000 0.497 0.497
La 0.500 0.000 0.497
La 0.500 0.497 0.000
La 0.500 0.497 0.497
Sm 0.500 0.000 0.000
Mn 0.250 0.248 0.248
Mn 0.250 0.248 0.749
Mn 0.250 0.749 0.248
Mn 0.750 0.248 0.248
Mn 0.750 0.248 0.749
Mn 0.750 0.749 0.248
Fe 0.250 0.749 0.749
Fe 0.750 0.749 0.749
O 0.000 0.249 0.249
O 0.000 0.249 0.749
O 0.000 0.749 0.249
O 0.000 0.749 0.749
O 0.250 0.249 0.499
O 0.250 0.499 0.249
O 0.250 0.499 0.749
O 0.250 0.749 0.499
O 0.251 0.247 0.998
O 0.251 0.750 0.999
O 0.251 0.998 0.247
O 0.251 0.999 0.750
O 0.500 0.247 0.247
O 0.500 0.247 0.750
O 0.500 0.750 0.247
O 0.500 0.750 0.750
O 0.749 0.247 0.998
O 0.749 0.750 0.999
O 0.749 0.998 0.247
O 0.749 0.999 0.750
O 0.750 0.249 0.499
O 0.750 0.499 0.249
O 0.750 0.499 0.749
O 0.750 0.749 0.499

Calculated values
The value obtained for the total magnetic moment is 0.85 μB per atom. For the formation energy, the calculation gives -2.86 eV/atom. The final energy comes out at -7.83 eV/atom.

=====

Record 5
DFT (GGA+U) results for a relaxed structure of La7SmMn2Fe6O24.

Unit cell a=7.864 b=7.864 c=7.875 alpha=90.00 beta=90.00 gamma=90.63
Atoms (fractional coordinates):
La 0.000 0.000 0.000
La 0.000 0.000 0.486
La 0.000 0.500 0.001
La 0.000 0.500 0.492
La 0.500 0.000 0.001
La 0.500 0.000 0.492
La 0.500 0.500 0.007
Sm 0.500 0.500 0.489
Mn 0.251 0.749 0.746
Mn 0.749 0.251 0.746
Fe 0.250 0.250 0.247
Fe 0.251 0.251 0.746
Fe 0.251 0.749 0.247
Fe 0.749 0.251 0.247
Fe 0.749 0.749 0.746
Fe 0.750 0.750 0.247
O 0.005 0.748 0.245
O 0.005 0.749 0.746
O 0.249 0.249 0.988
O 0.251 0.504 0.251
O 0.251 0.505 0.745
O 0.251 0.749 0.502
O 0.251 0.749 0.991
O 0.251 0.995 0.746
O 0.252 0.995 0.245
O 0.253 0.253 0.505
O 0.495 0.749 0.745
O 0.496 0.749 0.251
O 0.504 0.251 0.251
O 0.505 0.251 0.745
O 0.747 0.747 0.505
O 0.748 0.005 0.245
O 0.749 0.005 0.746
O 0.749 0.251 0.502
O 0.749 0.251 0.991
O 0.749 0.495 0.745
O 0.749 0.496 0.251
O 0.751 0.751 0.988
O 0.995 0.251 0.746
O 0.995 0.252 0.245

Calculated values
The value obtained for the total magnetic moment is 0.85 μB per atom. For the formation energy, the calculation gives -2.74 eV/atom. The final energy comes out at -7.58 eV/atom.

=====

Record 6
DFT (GGA+U) results for a relaxed structure of La7SmMn7FeO24.

Unit cell a=7.881 b=7.881 c=7.881 alpha=90.00 beta=90.00 gamma=90.00
Atoms (fractional coordinates):
La 0.000 0.000 0.000
La 0.000 0.000 0.502
La 0.000 0.502 0.000
La 0.000 0.502 0.502
La 0.502 0.000 0.000
La 0.502 0.000 0.502
La 0.502 0.502 0.000
Sm 0.502 0.502 0.502
Mn 0.251 0.251 0.751
Mn 0.251 0.751 0.251
Mn 0.251 0.751 0.751
Mn 0.751 0.251 0.251
Mn 0.751 0.251 0.751
Mn 0.751 0.751 0.251
Mn 0.751 0.751 0.751
Fe 0.251 0.251 0.251
O 0.000 0.251 0.751
O 0.000 0.751 0.251
O 0.001 0.251 0.251
O 0.003 0.751 0.751
O 0.251 0.000 0.751
O 0.251 0.001 0.251
O 0.251 0.251 0.001
O 0.251 0.751 0.000
O 0.252 0.252 0.501
O 0.252 0.501 0.252
O 0.252 0.501 0.749
O 0.252 0.749 0.501
O 0.499 0.749 0.749
O 0.501 0.252 0.252
O 0.501 0.252 0.749
O 0.501 0.749 0.252
O 0.749 0.252 0.501
O 0.749 0.499 0.749
O 0.749 0.501 0.252
O 0.749 0.749 0.499
O 0.751 0.000 0.251
O 0.751 0.003 0.751
O 0.751 0.251 0.000
O 0.751 0.751 0.003

Calculated values
For the formation energy, the calculation gives -2.88 eV/atom. The final energy comes out at -7.89 eV/atom.